(1)
VASP calculation (PBE) on crystalline LiFe2P2 at its relaxed geometry.

abc: 5.247 5.247 5.247
angles: 137.98 137.98 60.93
Sites, in units of the cell vectors:
Li: 0.000 0.000 0.000
Fe: 0.250 0.750 0.500
Fe: 0.750 0.250 0.500
P: 0.627 0.627 0.000
P: 0.373 0.373 0.000

Properties
- spin magnetization (μB/f.u.) = 0.3
- space group = No. 139

***

(2)
VASP calculation (PBE) on crystalline UGa5Ni at its relaxed geometry.

abc: 4.253 4.253 6.802
angles: 90.00 90.00 90.00
Sites, in units of the cell vectors:
U: 0.000 0.000 0.000
Ga: 0.500 0.000 0.305
Ga: 0.000 0.500 0.305
Ga: 0.000 0.500 0.695
Ga: 0.500 0.000 0.695
Ga: 0.500 0.500 0.000
Ni: 0.000 0.000 0.500

Properties
- space group = No. 123

***

Formation energy from the elements / kJ/mol of atoms: -58.36; -31.37